DFT (PBE) results for a geometry-optimized Cs3AsSe4O structure.

Cell: 10.4681 10.5500 15.8684 Å, 90.00 130.21 90.00°
Element x y z (fractional)
Se 0.8414 0.0158 0.2679
O 0.4425 0.2496 0.9877
O 0.5575 0.7496 0.5123
Se 0.3659 0.8250 0.4065
Cs 0.2594 0.4253 0.0445
As 0.2597 0.7158 0.2339
Cs 0.7406 0.9253 0.4555
Se 0.3659 0.6750 0.9065
Cs 0.1633 0.3257 0.7503
Se 0.8414 0.4842 0.7679
As 0.7403 0.2158 0.2661
Se 0.4826 0.8079 0.7353
Se 0.1586 0.9842 0.7321
As 0.7403 0.2842 0.7661
Se 0.6341 0.3250 0.0935
Se 0.5174 0.1921 0.2647
Se 0.9482 0.3494 0.4065
Se 0.1586 0.5158 0.2321
Se 0.0518 0.6506 0.5935
Cs 0.3583 0.5391 0.5427
Cs 0.3583 0.9609 0.0427
O 0.5575 0.7504 0.0123
Cs 0.2594 0.0747 0.5445
Se 0.4826 0.6921 0.2353
Cs 0.1633 0.1743 0.2503
O 0.4425 0.2504 0.4877
Se 0.6341 0.1750 0.5935
Cs 0.6417 0.0391 0.9573
Cs 0.8367 0.6743 0.2497
Cs 0.6417 0.4609 0.4573
Se 0.5174 0.3079 0.7647
Cs 0.7406 0.5747 0.9555
As 0.2597 0.7842 0.7339
Se 0.9482 0.1506 0.9065
Cs 0.8367 0.8257 0.7497
Se 0.0518 0.8494 0.0935

uncorrected energy	-3.77	eV per atom
theoretical density	4.0	g cm⁻³
ΔH_f (0 K)	-0.928	eV/atom
SG	P2_1/c (14)



DFT (PBE) results for a geometry-optimized Cs12Sn2As6O structure.

Cell: 12.4148 12.4148 6.4323 Å, 90.00 90.00 120.00°
Element x y z (fractional)
Cs 0.8829 0.7657 0.2698
Cs 0.1171 0.2343 0.7302
As 0.7867 0.5735 0.7483
As 0.2133 0.7867 0.2517
Cs 0.9085 0.4543 0.2493
Cs 0.4543 0.9085 0.7507
As 0.5735 0.7867 0.2517
Cs 0.4543 0.5457 0.7507
O 0.0000 0.0000 0.5000
Sn 0.6667 0.3333 0.7494
As 0.4265 0.2133 0.7483
Sn 0.3333 0.6667 0.2506
Cs 0.8829 0.1171 0.2698
Cs 0.2343 0.1171 0.2698
Cs 0.7657 0.8829 0.7302
Cs 0.5457 0.0915 0.2493
Cs 0.0915 0.5457 0.7507
Cs 0.5457 0.4543 0.2493
As 0.7867 0.2133 0.7483
As 0.2133 0.4265 0.2517
Cs 0.1171 0.8829 0.7302

uncorrected energy	-2.95	eV per atom
theoretical density	4.4	g cm⁻³
ΔH_f (0 K)	-0.520	eV/atom
SG	P-3m1 (164)



DFT (PBE) results for a geometry-optimized CsTiAsO5 structure.

Cell: 6.9575 10.8619 13.6867 Å, 90.00 90.00 90.00°
Element x y z (fractional)
O 0.9394 0.1638 0.2153
O 0.8153 0.2609 0.3969
O 0.8069 0.3092 0.6032
Cs 0.3041 0.1161 0.8891
As 0.0032 0.5370 0.3224
O 0.0606 0.6638 0.7847
Ti 0.0024 0.0284 0.1295
O 0.4807 0.6627 0.4859
Cs 0.2850 0.3730 0.1139
O 0.5386 0.4164 0.4841
Ti 0.4976 0.0284 0.6295
O 0.1931 0.8092 0.3968
O 0.3153 0.7609 0.1031
As 0.8280 0.2834 0.9990
Ti 0.2368 0.7790 0.7496
O 0.4614 0.9164 0.5159
O 0.4369 0.9155 0.7170
O 0.4521 0.6610 0.7454
O 0.5469 0.4158 0.7447
Cs 0.1959 0.1161 0.3891
O 0.1987 0.0761 0.6119
O 0.7033 0.9996 0.1099
As 0.5032 0.0370 0.1776
O 0.2967 0.4996 0.8901
O 0.6931 0.3092 0.1032
As 0.6720 0.2834 0.4990
O 0.0386 0.9164 0.0159
Cs 0.6959 0.6161 0.1109
O 0.8013 0.5761 0.3881
O 0.6847 0.2609 0.8969
O 0.3013 0.0761 0.1119
As 0.1720 0.7834 0.0010
Cs 0.8041 0.6161 0.6109
As 0.9968 0.0370 0.6776
O 0.0631 0.9155 0.2170
Ti 0.2632 0.7790 0.2496
Ti 0.7368 0.2790 0.7504
O 0.0193 0.6627 0.9859
O 0.9531 0.4158 0.2447
Cs 0.7150 0.8730 0.8861
O 0.4394 0.6638 0.2847
O 0.1847 0.7609 0.6031
Cs 0.7850 0.8730 0.3861
O 0.9614 0.4164 0.9841
O 0.7967 0.9996 0.6099
O 0.2033 0.4996 0.3901
O 0.5606 0.1638 0.7153
O 0.3069 0.8092 0.8968
Ti 0.9976 0.5284 0.8705
Ti 0.5024 0.5284 0.3705
O 0.9369 0.4155 0.7830
As 0.3280 0.7834 0.5010
As 0.4968 0.5370 0.8224
O 0.5193 0.1627 0.5141
O 0.4531 0.9158 0.2553
Cs 0.2150 0.3730 0.6139
O 0.5479 0.1610 0.2546
O 0.9807 0.1627 0.0141
Ti 0.7632 0.2790 0.2504
O 0.5631 0.4155 0.2830
O 0.9521 0.1610 0.7546
O 0.0479 0.6610 0.2454
O 0.6987 0.5761 0.8881
O 0.0469 0.9158 0.7553

uncorrected energy	-6.89	eV per atom
theoretical density	4.3	g cm⁻³
ΔH_f (0 K)	-2.543	eV/atom
SG	Pna2_1 (33)



Question: What is the ΔH_f (0 K) in the third record?
Answer: -2.543 eV/atom



Question: What is the theoretical density in the third record?
Answer: 4.3 g cm⁻³